1.
# ZrU2S5 | the Materials Project database | r2SCAN | relaxed
# * final energy: -29.75 eV per atom
# * formation energy from the elements: -1899 meV per atom
# * mass density: 7.15 g/cm3
data_ZrU2S5
_cell_length_a 11.6591
_cell_length_b 7.8391
_cell_length_c 7.3962
_cell_angle_alpha 90.00
_cell_angle_beta 90.00
_cell_angle_gamma 90.00
_space_group_name_H-M_alt 'P n m a'
_space_group_IT_number 62
loop_
_space_group_symop_operation_xyz
'x,y,z'
'-x,-y,-z'
'-x+1/2,-y,z+1/2'
'x+1/2,y,-z+1/2'
'x+1/2,-y+1/2,-z+1/2'
'-x+1/2,y+1/2,z+1/2'
'-x,y+1/2,-z'
'x,-y+1/2,z'
loop_
_atom_site_label
_atom_site_type_symbol
_atom_site_fract_x
_atom_site_fract_y
_atom_site_fract_z
Zr1 Zr 0.0049 0.2500 0.0768
U1 U 0.1784 0.5007 0.5287
S1 S 0.0025 0.2500 0.4467
S2 S 0.0891 0.5368 0.1645
S3 S 0.1829 0.2500 0.8390
S4 S 0.2076 0.7500 0.8158

=====

2.
# ZrUS2 | the Materials Project database | r2SCAN | relaxed
# * final energy: -31.38 eV per atom
# * formation energy from the elements: -1687 meV per atom
# * mass density: 8.36 g/cm3
data_ZrUS2
_cell_length_a 3.7651
_cell_length_b 3.7651
_cell_length_c 19.0867
_cell_angle_alpha 90.00
_cell_angle_beta 90.00
_cell_angle_gamma 120.00
_space_group_name_H-M_alt 'R -3 m'
_space_group_IT_number 166
_space_group_name_Hall '-R 3 2"'
loop_
_atom_site_label
_atom_site_type_symbol
_atom_site_fract_x
_atom_site_fract_y
_atom_site_fract_z
Zr1 Zr 0.0000 0.0000 0.0000
U1 U 0.0000 0.0000 0.5000
S1 S 0.0000 0.0000 0.2563

=====

3.
# V3S | the Materials Project database | r2SCAN | relaxed
# * final energy: -13.17 eV per atom
# * polymorph energy (0 for the lowest one): 12.8 meV/atom
# * formation energy from the elements: -595 meV per atom
# * mass density: 6.12 g/cm3
data_V3S
_cell_length_a 9.4101
_cell_length_b 9.4101
_cell_length_c 4.5302
_cell_angle_alpha 90.00
_cell_angle_beta 90.00
_cell_angle_gamma 90.00
_space_group_name_H-M_alt 'I -4 2 m'
_space_group_IT_number 121
_space_group_name_Hall 'I -4 2'
loop_
_atom_site_label
_atom_site_type_symbol
_atom_site_fract_x
_atom_site_fract_y
_atom_site_fract_z
V1 V 0.0000 0.3574 0.0000
V2 V 0.0913 0.0913 0.7620
V3 V 0.2001 0.2001 0.2590
S1 S 0.0000 0.2884 0.5000

=====

4.
# V3S | the Materials Project database | r2SCAN | relaxed
# * final energy: -13.18 eV per atom
# * polymorph energy (0 for the lowest one): 0.0 meV/atom
# * formation energy from the elements: -608 meV per atom
# * mass density: 6.15 g/cm3
data_V3S
_cell_length_a 9.2897
_cell_length_b 9.2897
_cell_length_c 4.6294
_cell_angle_alpha 90.00
_cell_angle_beta 90.00
_cell_angle_gamma 90.00
_space_group_name_H-M_alt 'P 42/n b c'
_space_group_IT_number 133
loop_
_space_group_symop_operation_xyz
'x,y,z'
'-x,-y,-z'
'-y+1/2,x,z+1/2'
'y+1/2,-x,-z+1/2'
'-x+1/2,-y+1/2,z'
'x+1/2,y+1/2,-z'
'y,-x+1/2,z+1/2'
'-y,x+1/2,-z+1/2'
'x,-y+1/2,-z'
'-x,y+1/2,z'
'-y+1/2,-x+1/2,-z+1/2'
'y+1/2,x+1/2,z+1/2'
'-x+1/2,y,-z'
'x+1/2,-y,z'
'y,x,-z+1/2'
'-y,-x,z+1/2'
loop_
_atom_site_label
_atom_site_type_symbol
_atom_site_fract_x
_atom_site_fract_y
_atom_site_fract_z
V1 V 0.0469 0.0469 0.2500
V2 V 0.1024 0.7500 0.0000
V3 V 0.1604 0.1604 0.7500
S1 S 0.0410 0.7500 0.5000

=====

5.
# WS2 | the Materials Project database | r2SCAN | relaxed
# * final energy: -23.36 eV per atom
# * formation energy from the elements: -878 meV per atom
# * mass density: 4.93 g/cm3
data_WS2
_cell_length_a 3.1830
_cell_length_b 3.1830
_cell_length_c 28.5322
_cell_angle_alpha 90.00
_cell_angle_beta 90.00
_cell_angle_gamma 120.00
_space_group_name_H-M_alt 'P 3 m 1'
_space_group_IT_number 156
loop_
_space_group_symop_operation_xyz
'x,y,z'
'-y,x-y,z'
'-x+y,-x,z'
'-y,-x,z'
'-x+y,y,z'
'x,x-y,z'
loop_
_atom_site_label
_atom_site_type_symbol
_atom_site_fract_x
_atom_site_fract_y
_atom_site_fract_z
W1 W 0.0000 0.0000 0.0000
W2 W 0.0000 0.0000 0.4512
W3 W 0.3333 0.6667 0.2249
S1 S 0.0000 0.0000 0.1703
S2 S 0.0000 0.0000 0.2796
S3 S 0.3333 0.6667 0.0547
S4 S 0.3333 0.6667 0.3965
S5 S 0.3333 0.6667 0.5058
S6 S 0.3333 0.6667 0.9453

=====

6.
# WS2 | the Materials Project database | r2SCAN | relaxed
# * final energy: -23.36 eV per atom
# * formation energy from the elements: -880 meV per atom
# * mass density: 5.34 g/cm3
data_WS2
_cell_length_a 3.1831
_cell_length_b 3.1831
_cell_length_c 35.1806
_cell_angle_alpha 90.00
_cell_angle_beta 90.00
_cell_angle_gamma 120.00
_space_group_name_H-M_alt 'P -3 m 1'
_space_group_IT_number 164
_space_group_name_Hall '-P 3 2"'
loop_
_atom_site_label
_atom_site_type_symbol
_atom_site_fract_x
_atom_site_fract_y
_atom_site_fract_z
W1 W 0.3333 0.6667 0.0923
W2 W 0.3333 0.6667 0.7234
S1 S 0.3333 0.6667 0.2323
S2 S 0.3333 0.6667 0.3212
S3 S 0.3333 0.6667 0.8634
S4 S 0.3333 0.6667 0.9520

=====

7.
# WS2 | the Materials Project database | r2SCAN | relaxed
# * final energy: -23.35 eV per atom
# * formation energy from the elements: -876 meV per atom
# * mass density: 3.96 g/cm3
data_WS2
_cell_length_a 3.1832
_cell_length_b 3.1832
_cell_length_c 23.6688
_cell_angle_alpha 90.00
_cell_angle_beta 90.00
_cell_angle_gamma 120.00
_space_group_name_H-M_alt 'P -3 m 1'
_space_group_IT_number 164
_space_group_name_Hall '-P 3 2"'
loop_
_atom_site_label
_atom_site_type_symbol
_atom_site_fract_x
_atom_site_fract_y
_atom_site_fract_z
W1 W 0.3333 0.6667 0.1373
S1 S 0.3333 0.6667 0.7968
S2 S 0.3333 0.6667 0.9286

=====

8.
# WS2 | the Materials Project database | r2SCAN | relaxed
# * final energy: -23.35 eV per atom
# * formation energy from the elements: -869 meV per atom
# * mass density: 2.77 g/cm3
data_WS2
_cell_length_a 3.1835
_cell_length_b 3.1835
_cell_length_c 16.9506
_cell_angle_alpha 90.00
_cell_angle_beta 90.00
_cell_angle_gamma 120.00
_space_group_name_H-M_alt 'P -6 m 2'
_space_group_IT_number 187
_space_group_name_Hall 'P -6 2'
loop_
_atom_site_label
_atom_site_type_symbol
_atom_site_fract_x
_atom_site_fract_y
_atom_site_fract_z
W1 W 0.0000 0.0000 0.0000
S1 S 0.3333 0.6667 0.0920